A relaxed structure of Ba2SmBiO6, computed with GGA-PBE.

The structure belongs to space group Pn-3 (No. 201, origin choice 2); the cell edges are 8.810, 8.810 and 8.810 Å and the angles 90.00°, 90.00° and 90.00°. The asymmetric unit holds Ba at (0.250, 0.250, 0.250), Ba at (0.250, 0.250, 0.750), Sm at (0.000, 0.000, 0.000), Bi at (0.000, 0.000, 0.500) and O at (0.022, 0.523, 0.759).

The value obtained for the calculated total energy is -263.3 eV for the cell shown. Its formation energy is -2780 meV/atom.